A plane-wave DFT calculation with PBE with a Hubbard U was carried out for crystalline MgMo3P3O13 at its relaxed geometry.

Summary:
total DFT energy (no corrections)	-7.2306	eV per atom

Geometry as CIF:
```
data_MgMo3P3O13
_chemical_formula_sum 'Mg2 Mo6 P6 O26'
_cell_length_a 7.822
_cell_length_b 6.656
_cell_length_c 10.552
_cell_angle_alpha 90.00
_cell_angle_beta 99.70
_cell_angle_gamma 90.00
_space_group_name_H-M_alt 'P 1 21/m 1'
_space_group_IT_number 11
loop_
_space_group_symop_operation_xyz
'x,y,z'
'-x,-y,-z'
'-x,y+1/2,-z'
'x,-y+1/2,z'
loop_
_atom_site_label
_atom_site_fract_x
_atom_site_fract_y
_atom_site_fract_z
Mg1 0.106 0.250 0.175
Mo1 0.140 0.250 0.794
Mo2 0.269 0.750 0.438
Mo3 0.500 0.000 0.000
P1 0.179 0.750 0.106
P2 0.231 0.750 0.766
P3 0.283 0.250 0.499
O1 0.007 0.250 0.975
O2 0.109 0.572 0.788
O3 0.141 0.750 0.247
O4 0.154 0.250 0.596
O5 0.246 0.068 0.406
O6 0.274 0.550 0.092
O7 0.295 0.750 0.639
O8 0.386 0.250 0.897
O9 0.395 0.750 0.875
O10 0.469 0.250 0.577
```

=====

A plane-wave DFT calculation with PBE with a Hubbard U was carried out for crystalline Pr2Mo3O12 at its relaxed geometry.

Summary:
total DFT energy (no corrections)	-7.5488	eV per atom

Geometry as CIF:
```
data_Pr2Mo3O12
_chemical_formula_sum 'Pr4 Mo6 O24'
_cell_length_a 7.666
_cell_length_b 7.666
_cell_length_c 11.044
_cell_angle_alpha 90.00
_cell_angle_beta 90.00
_cell_angle_gamma 90.00
_space_group_name_H-M_alt 'P -4 21 m'
_space_group_IT_number 113
loop_
_space_group_symop_operation_xyz
'x,y,z'
'y,-x,-z'
'-x,-y,z'
'-y,x,-z'
'x+1/2,-y+1/2,-z'
'y+1/2,x+1/2,z'
'-x+1/2,y+1/2,-z'
'-y+1/2,-x+1/2,z'
loop_
_atom_site_label
_atom_site_fract_x
_atom_site_fract_y
_atom_site_fract_z
Pr1 0.188 0.312 0.262
Mo1 0.000 0.000 0.000
Mo2 0.208 0.292 0.643
O1 0.001 0.226 0.701
O2 0.040 0.186 0.095
O3 0.129 0.629 0.312
O4 0.195 0.305 0.482
```

=====

A plane-wave DFT calculation with PBE with a Hubbard U was carried out for crystalline LiNiP3O9 at its relaxed geometry.

Summary:
total DFT energy (no corrections)	-6.7642	eV per atom

Geometry as CIF:
```
data_LiNiP3O9
_chemical_formula_sum 'Li4 Ni4 P12 O36'
_cell_length_a 8.438
_cell_length_b 8.538
_cell_length_c 8.852
_cell_angle_alpha 90.00
_cell_angle_beta 90.00
_cell_angle_gamma 90.00
_space_group_name_H-M_alt 'P 21 21 21'
_space_group_IT_number 19
loop_
_space_group_symop_operation_xyz
'x,y,z'
'-x+1/2,-y,z+1/2'
'x+1/2,-y+1/2,-z'
'-x,y+1/2,-z+1/2'
loop_
_atom_site_label
_atom_site_fract_x
_atom_site_fract_y
_atom_site_fract_z
Li1 0.130 0.143 0.162
Ni1 0.154 0.869 0.388
P1 0.028 0.684 0.677
P2 0.187 0.523 0.191
P3 0.201 0.189 0.569
O1 0.040 0.233 0.660
O2 0.086 0.388 0.139
O3 0.106 0.129 0.922
O4 0.129 0.622 0.321
O5 0.131 0.813 0.615
O6 0.139 0.542 0.731
O7 0.160 0.125 0.416
O8 0.190 0.909 0.166
O9 0.226 0.637 0.048
```

=====

Which formula does entry 1 have? MgMo3P3O13

=====

The lowest total DFT energy (no corrections) belongs to which entry? Pr2Mo3O12